The following is a PBE+U calculation of an optimized crystal structure of Na3CoMo6O32, from the Materials Project database.

Summary:
Final energy ... -5.8791 eV/atom
Energy of formation ... -88.3 kJ/mol of atoms
Total magnetic moment ... 16.00 Bohr magnetons per cell

CIF file:
```
data_Na3CoMo6O32
_symmetry_space_group_name_H-M 'P -1'
_symmetry_Int_Tables_number 2
_symmetry_space_group_name_Hall '-P 1'
_cell_length_a 6.8966
_cell_length_b 10.9736
_cell_length_c 11.3708
_cell_angle_alpha 113.27
_cell_angle_beta 107.52
_cell_angle_gamma 93.76
loop_
_atom_site_label
_atom_site_type_symbol
_atom_site_fract_x
_atom_site_fract_y
_atom_site_fract_z
Na1 Na 0.0000 0.0000 0.0000
Na2 Na 0.1434 0.0920 0.4513
Co1 Co 0.5000 0.5000 0.0000
Mo1 Mo 0.0609 0.4845 0.7389
Mo2 Mo 0.1230 0.2192 0.8208
Mo3 Mo 0.4381 0.7640 0.9137
O1 O 0.0122 0.6344 0.4333
O2 O 0.0142 0.2456 0.3707
O3 O 0.0196 0.6435 0.1914
O4 O 0.0333 0.8801 0.1415
O5 O 0.0848 0.1190 0.6456
O6 O 0.1325 0.4250 0.2493
O7 O 0.2569 0.8666 0.9344
O8 O 0.2811 0.6098 0.7431
O9 O 0.2895 0.5893 0.9524
O10 O 0.3348 0.3672 0.0190
O11 O 0.3787 0.4022 0.8212
O12 O 0.3842 0.1617 0.1317
O13 O 0.3998 0.1778 0.8876
O14 O 0.4876 0.9791 0.5417
O15 O 0.4898 0.2818 0.5502
O16 O 0.4974 0.6474 0.5092
```


The following is a PBE+U calculation of an optimized crystal structure of TlCoO3, from the Materials Project database.

Summary:
Final energy ... -5.1936 eV/atom
Energy of formation ... -103.3 kJ/mol of atoms
Total magnetic moment ... 4.00 Bohr magnetons per cell

CIF file:
```
data_TlCoO3
_symmetry_space_group_name_H-M 'P -1'
_symmetry_Int_Tables_number 2
_symmetry_space_group_name_Hall '-P 1'
_cell_length_a 5.3271
_cell_length_b 5.4099
_cell_length_c 7.9248
_cell_angle_alpha 89.49
_cell_angle_beta 89.53
_cell_angle_gamma 89.14
loop_
_atom_site_label
_atom_site_type_symbol
_atom_site_fract_x
_atom_site_fract_y
_atom_site_fract_z
Tl1 Tl 0.0144 0.0463 0.2477
Tl2 Tl 0.4818 0.5464 0.2475
Co1 Co 0.0000 0.5000 0.0000
Co2 Co 0.0000 0.5000 0.5000
Co3 Co 0.5000 0.0000 0.0000
Co4 Co 0.5000 0.0000 0.5000
O1 O 0.1073 0.5411 0.7532
O2 O 0.1960 0.7866 0.4418
O3 O 0.2034 0.7928 0.0603
O4 O 0.2937 0.2950 0.4427
O5 O 0.2948 0.2940 0.0591
O6 O 0.3934 0.0419 0.7438
```


The following is a PBE+U calculation of an optimized crystal structure of CaMoF5, from the Materials Project database.

Summary:
Final energy ... -5.7965 eV/atom
Energy of formation ... -326.2 kJ/mol of atoms
Excess energy over the best structure of this formula in the dataset ... 0 meV/atom

CIF file:
```
data_CaMoF5
_symmetry_space_group_name_H-M 'C 1 2/c 1'
_symmetry_Int_Tables_number 15
_symmetry_space_group_name_Hall '-C 2yc'
_cell_length_a 9.4450
_cell_length_b 6.8788
_cell_length_c 7.9764
_cell_angle_alpha 90.00
_cell_angle_beta 114.91
_cell_angle_gamma 90.00
loop_
_atom_site_label
_atom_site_type_symbol
_atom_site_fract_x
_atom_site_fract_y
_atom_site_fract_z
Ca1 Ca 0.0000 0.0360 0.2500
Mo1 Mo 0.0000 0.5000 0.0000
F1 F 0.0000 0.3957 0.2500
F2 F 0.0094 0.1974 0.9664
F3 F 0.2415 0.4778 0.6273
```


The following is a PBE+U calculation of an optimized crystal structure of Tl2NiH12Se2O14, from the Materials Project database.

Summary:
Final energy ... -4.9888 eV/atom
Energy of formation ... -122.4 kJ/mol of atoms
Total magnetic moment ... 4.00 Bohr magnetons per cell

CIF file:
```
data_Tl2NiH12Se2O14
_symmetry_space_group_name_H-M 'P 1 21/c 1'
_symmetry_Int_Tables_number 14
_symmetry_space_group_name_Hall '-P 2ybc'
_cell_length_a 6.3778
_cell_length_b 12.6932
_cell_length_c 9.3710
_cell_angle_alpha 90.00
_cell_angle_beta 105.14
_cell_angle_gamma 90.00
loop_
_atom_site_label
_atom_site_type_symbol
_atom_site_fract_x
_atom_site_fract_y
_atom_site_fract_z
Tl1 Tl 0.1512 0.1522 0.3669
Ni1 Ni 0.5000 0.0000 0.0000
H1 H 0.1647 0.5510 0.5937
H2 H 0.1722 0.6364 0.4717
H3 H 0.1868 0.0873 0.7988
H4 H 0.4089 0.1264 0.7648
H5 H 0.4311 0.5952 0.2359
H6 H 0.4937 0.1820 0.1370
Se1 Se 0.2368 0.6370 0.9078
O1 O 0.0767 0.7402 0.9192
O2 O 0.1033 0.5599 0.7671
O3 O 0.2027 0.5609 0.4985
O4 O 0.2828 0.5657 0.0628
O5 O 0.3391 0.1102 0.8447
O6 O 0.4711 0.1077 0.1633
O7 O 0.4716 0.6805 0.8774
```


The following is a PBE+U calculation of an optimized crystal structure of Na22CaFe6P12O48F6, from the Materials Project database.

Summary:
Final energy ... -6.2359 eV/atom
Energy of formation ... -249.7 kJ/mol of atoms
Total magnetic moment ... 30.00 Bohr magnetons per cell

CIF file:
```
data_Na22CaFe6P12O48F6
_symmetry_space_group_name_H-M 'P 3'
_symmetry_Int_Tables_number 143
_symmetry_space_group_name_Hall 'P 3'
_cell_length_a 13.9027
_cell_length_b 13.9027
_cell_length_c 6.9185
_cell_angle_alpha 90.00
_cell_angle_beta 90.00
_cell_angle_gamma 120.00
loop_
_atom_site_label
_atom_site_type_symbol
_atom_site_fract_x
_atom_site_fract_y
_atom_site_fract_z
Na1 Na 0.0000 0.0000 0.0000
Na2 Na 0.0000 0.0000 0.5366
Na3 Na 0.0582 0.2313 0.7955
Na4 Na 0.0852 0.4620 0.0102
Na5 Na 0.1655 0.7223 0.2611
Na6 Na 0.2492 0.2068 0.0411
Na7 Na 0.3333 0.6667 0.0639
Na8 Na 0.4158 0.1424 0.2980
Na9 Na 0.4772 0.3953 0.7551
Na10 Na 0.6667 0.3333 0.5264
Ca1 Ca 0.6667 0.3333 0.0257
Fe1 Fe 0.0883 0.4638 0.5121
Fe2 Fe 0.2507 0.2091 0.5401
P1 P 0.0400 0.2159 0.3063
P2 P 0.1574 0.7071 0.7457
P3 P 0.4139 0.1388 0.7849
P4 P 0.4731 0.3922 0.2674
O1 O 0.0498 0.7189 0.7443
O2 O 0.0519 0.3340 0.3097
O3 O 0.0784 0.1932 0.1122
O4 O 0.0977 0.8911 0.4765
O5 O 0.1208 0.5828 0.7102
O6 O 0.2088 0.0836 0.3438
O7 O 0.2173 0.7457 0.9404
O8 O 0.2210 0.4534 0.5766
O9 O 0.3470 0.3153 0.3312
O10 O 0.3615 0.1366 0.9791
O11 O 0.3659 0.0136 0.7203
O12 O 0.3803 0.1983 0.6264
O13 O 0.4710 0.4415 0.0723
O14 O 0.5150 0.0471 0.4259
O15 O 0.5374 0.3282 0.2623
O16 O 0.5423 0.2041 0.7909
F1 F 0.1498 0.0981 0.7544
F2 F 0.1771 0.5630 0.2907
```


The following is a PBE+U calculation of an optimized crystal structure of Pr2MgMn2Ge2O10, from the Materials Project database.

Summary:
Final energy ... -7.1083 eV/atom
Energy of formation ... -243.1 kJ/mol of atoms
Excess energy over the best structure of this formula in the dataset ... 170 meV/atom
Total magnetic moment ... 10.00 Bohr magnetons per cell

CIF file:
```
data_Pr2MgMn2Ge2O10
_symmetry_space_group_name_H-M 'P -1'
_symmetry_Int_Tables_number 2
_symmetry_space_group_name_Hall '-P 1'
_cell_length_a 5.7885
_cell_length_b 6.1047
_cell_length_c 7.4242
_cell_angle_alpha 107.61
_cell_angle_beta 97.01
_cell_angle_gamma 107.69
loop_
_atom_site_label
_atom_site_type_symbol
_atom_site_fract_x
_atom_site_fract_y
_atom_site_fract_z
Pr1 Pr 0.1463 0.2944 0.2655
Mg1 Mg 0.5000 0.5000 0.0000
Mn1 Mn 0.5000 0.0000 0.0000
Mn2 Mn 0.5000 0.0000 0.5000
Ge1 Ge 0.1430 0.3023 0.7257
O1 O 0.0833 0.7718 0.4830
O2 O 0.1875 0.1572 0.9041
O3 O 0.2024 0.6055 0.8957
O4 O 0.3748 0.0639 0.2528
O5 O 0.4594 0.3657 0.6867
```


The following is a PBE+U calculation of an optimized crystal structure of Na2CuMoF6, from the Materials Project database.

Summary:
Final energy ... -4.6985 eV/atom
Energy of formation ... -230.4 kJ/mol of atoms
Total magnetic moment ... 12.00 Bohr magnetons per cell

CIF file:
```
data_Na2CuMoF6
_symmetry_space_group_name_H-M 'F m -3 m'
_symmetry_Int_Tables_number 225
_symmetry_space_group_name_Hall '-F 4 2 3'
_cell_length_a 8.4514
_cell_length_b 8.4514
_cell_length_c 8.4514
_cell_angle_alpha 90.00
_cell_angle_beta 90.00
_cell_angle_gamma 90.00
loop_
_atom_site_label
_atom_site_type_symbol
_atom_site_fract_x
_atom_site_fract_y
_atom_site_fract_z
Na1 Na 0.2500 0.2500 0.2500
Cu1 Cu 0.0000 0.0000 0.0000
Mo1 Mo 0.0000 0.0000 0.5000
F1 F 0.0000 0.0000 0.2548
```


The following is a PBE+U calculation of an optimized crystal structure of MgCr2Hg2O8, from the Materials Project database.

Summary:
Final energy ... -5.3548 eV/atom
Energy of formation ... -133.7 kJ/mol of atoms
Excess energy over the best structure of this formula in the dataset ... 58 meV/atom
Total magnetic moment ... 4.00 Bohr magnetons per cell

CIF file:
```
data_MgCr2Hg2O8
_symmetry_space_group_name_H-M 'C 1 2/m 1'
_symmetry_Int_Tables_number 12
_symmetry_space_group_name_Hall '-C 2y'
_cell_length_a 8.2130
_cell_length_b 6.7879
_cell_length_c 7.7842
_cell_angle_alpha 90.00
_cell_angle_beta 91.73
_cell_angle_gamma 90.00
loop_
_atom_site_label
_atom_site_type_symbol
_atom_site_fract_x
_atom_site_fract_y
_atom_site_fract_z
Mg1 Mg 0.0000 0.0000 0.0000
Cr1 Cr 0.1529 0.0000 0.7303
Hg1 Hg 0.0000 0.5000 0.0000
Hg2 Hg 0.0000 0.5000 0.5000
O1 O 0.0335 0.1983 0.7708
O2 O 0.2443 0.5000 0.4610
O3 O 0.2468 0.5000 0.0604
```


- What is the energy of formation in the third record?
  -326.2 kJ/mol of atoms